Entry 1:
{
  "formula": "Ca3Co3As4O16",
  "functional": "PBE with a Hubbard U",
  "state": "relaxed",
  "cell": [[5.1698, 0.0000, 0.0000], [0.0000, 9.2460, 0.0000], [0.0000, 7.8434, 15.3883]],
  "species": ["O", "O", "O", "O", "O", "O", "O", "O", "O", "O", "O", "O", "O", "O", "O", "O", "O", "O", "O", "O", "O", "O", "O", "O", "O", "O", "O", "O", "O", "O", "O", "O", "As", "As", "As", "As", "As", "As", "As", "As", "Co", "Co", "Co", "Co", "Co", "Co", "Ca", "Ca", "Ca", "Ca", "Ca", "Ca"],
  "frac_coords": [[0.0538, 0.8120, 0.7628], [0.2012, 0.5786, 0.9193], [0.4471, 0.2524, 0.4937], [0.3424, 0.0286, 0.3579], [0.7988, 0.4214, 0.0807], [0.9462, 0.1880, 0.2372], [0.1991, 0.4886, 0.6039], [0.2988, 0.5786, 0.4193], [0.6552, 0.1015, 0.9058], [0.0529, 0.2524, 0.9937], [0.1160, 0.4368, 0.8115], [0.8009, 0.5114, 0.3961], [0.8424, 0.9714, 0.1421], [0.3448, 0.8985, 0.0942], [0.9471, 0.7476, 0.0063], [0.4043, 0.1474, 0.1485], [0.1576, 0.0286, 0.8579], [0.5957, 0.8526, 0.8515], [0.7012, 0.4214, 0.5807], [0.6991, 0.5114, 0.8961], [0.5538, 0.1880, 0.7372], [0.9043, 0.8526, 0.3515], [0.1552, 0.8985, 0.5942], [0.6160, 0.5632, 0.6885], [0.8448, 0.1015, 0.4058], [0.3009, 0.4886, 0.1039], [0.5529, 0.7476, 0.5063], [0.6576, 0.9714, 0.6421], [0.3840, 0.4368, 0.3115], [0.0957, 0.1474, 0.6485], [0.8840, 0.5632, 0.1885], [0.4462, 0.8120, 0.2628], [0.5089, 0.9618, 0.1577], [0.0089, 0.0382, 0.3423], [0.0097, 0.4359, 0.9042], [0.5097, 0.5641, 0.5958], [0.4903, 0.4359, 0.4042], [0.9911, 0.9618, 0.6577], [0.9903, 0.5641, 0.0958], [0.4911, 0.0382, 0.8423], [0.0233, 0.2006, 0.1219], [0.5233, 0.7994, 0.3781], [0.5000, 0.5000, 0.0000], [0.9767, 0.7994, 0.8781], [0.0000, 0.5000, 0.5000], [0.4767, 0.2006, 0.6219], [0.5000, 0.0000, 0.5000], [0.9626, 0.3096, 0.7315], [0.0374, 0.6904, 0.2685], [0.5374, 0.3096, 0.2315], [0.4626, 0.6904, 0.7685], [0.0000, 0.0000, 0.0000]],
  "energy_mp2020_ev_per_atom": -6.948,
  "volume_a3_per_atom": 14.15,
  "delta_e_f_ev_per_atom": -2.13
}



Entry 2:
{
  "formula": "V2ZnPbO7",
  "functional": "PBE with a Hubbard U",
  "state": "relaxed",
  "cell": [[15.0718, 0.0000, 0.0000], [0.0000, 7.0270, 0.0000], [0.0000, 1.9418, 11.4002]],
  "species": ["O", "O", "O", "O", "O", "O", "O", "O", "O", "O", "O", "O", "O", "O", "O", "O", "O", "O", "O", "O", "O", "O", "O", "O", "O", "O", "O", "O", "O", "O", "O", "O", "O", "O", "O", "O", "O", "O", "O", "O", "O", "O", "O", "O", "O", "O", "O", "O", "O", "O", "O", "O", "O", "O", "O", "O", "V", "V", "V", "V", "V", "V", "V", "V", "V", "V", "V", "V", "V", "V", "V", "V", "Pb", "Pb", "Pb", "Pb", "Pb", "Pb", "Pb", "Pb", "Zn", "Zn", "Zn", "Zn", "Zn", "Zn", "Zn", "Zn"],
  "frac_coords": [[0.6643, 0.0393, 0.1080], [0.2147, 0.6529, 0.0450], [0.1418, 0.0375, 0.6325], [0.6200, 0.3860, 0.9160], [0.9837, 0.7188, 0.7853], [0.5314, 0.7728, 0.0499], [0.8467, 0.9982, 0.8736], [0.7664, 0.6814, 0.7949], [0.8357, 0.0393, 0.6080], [0.2853, 0.6529, 0.5450], [0.6439, 0.0061, 0.6169], [0.4412, 0.5926, 0.8311], [0.2113, 0.3240, 0.4566], [0.3561, 0.9939, 0.3831], [0.3582, 0.0375, 0.1325], [0.0588, 0.5926, 0.3311], [0.7336, 0.6814, 0.2949], [0.1200, 0.6140, 0.5840], [0.3958, 0.4360, 0.2788], [0.6042, 0.5640, 0.7212], [0.6533, 0.9982, 0.3736], [0.8958, 0.5640, 0.2212], [0.7887, 0.6760, 0.5434], [0.3800, 0.6140, 0.0840], [0.8561, 0.0061, 0.1169], [0.8800, 0.3860, 0.4160], [0.5329, 0.2383, 0.4552], [0.0314, 0.2272, 0.4501], [0.2528, 0.6898, 0.2798], [0.4837, 0.2812, 0.7147], [0.0163, 0.2812, 0.2147], [0.2887, 0.3240, 0.9566], [0.1439, 0.9939, 0.8831], [0.2664, 0.3186, 0.7051], [0.7147, 0.3471, 0.4550], [0.3467, 0.0018, 0.6264], [0.9412, 0.4074, 0.6689], [0.7853, 0.3471, 0.9550], [0.4686, 0.2272, 0.9501], [0.7528, 0.3102, 0.2202], [0.0329, 0.7617, 0.0448], [0.7472, 0.3102, 0.7202], [0.1042, 0.4360, 0.7788], [0.7113, 0.6760, 0.0434], [0.6418, 0.9625, 0.8675], [0.4671, 0.7617, 0.5448], [0.5588, 0.4074, 0.1689], [0.2336, 0.3186, 0.2051], [0.3357, 0.9607, 0.8920], [0.1533, 0.0018, 0.1264], [0.9686, 0.7728, 0.5499], [0.5163, 0.7188, 0.2853], [0.1643, 0.9607, 0.3920], [0.8582, 0.9625, 0.3675], [0.9671, 0.2383, 0.9552], [0.2472, 0.6898, 0.7798], [0.3620, 0.8488, 0.5224], [0.4864, 0.5921, 0.1773], [0.6380, 0.1512, 0.4776], [0.1389, 0.1337, 0.4825], [0.6389, 0.8663, 0.0175], [0.3611, 0.1337, 0.9825], [0.7964, 0.4762, 0.3006], [0.1380, 0.8488, 0.0224], [0.8611, 0.8663, 0.5175], [0.7036, 0.4762, 0.8006], [0.2036, 0.5238, 0.6994], [0.8620, 0.1512, 0.9776], [0.2964, 0.5238, 0.1994], [0.9864, 0.4079, 0.3227], [0.5136, 0.4079, 0.8227], [0.0136, 0.5921, 0.6773], [0.1289, 0.3415, 0.0327], [0.5136, 0.9202, 0.7360], [0.0136, 0.0798, 0.7640], [0.9864, 0.9202, 0.2360], [0.3711, 0.3415, 0.5327], [0.6289, 0.6585, 0.4673], [0.8711, 0.6585, 0.9673], [0.4864, 0.0798, 0.2640], [0.8285, 0.3507, 0.5786], [0.6715, 0.3507, 0.0786], [0.1715, 0.6493, 0.4214], [0.2542, 0.0114, 0.2532], [0.7542, 0.9886, 0.2468], [0.2458, 0.0114, 0.7532], [0.3285, 0.6493, 0.9214], [0.7458, 0.9886, 0.7468]],
  "energy_mp2020_ev_per_atom": -7.399,
  "volume_a3_per_atom": 13.72,
  "delta_e_f_ev_per_atom": -2.15
}



Entry 3:
{
  "formula": "Li13Ni15O28",
  "functional": "PBE with a Hubbard U",
  "state": "relaxed",
  "cell": [[-7.5017, -0.1340, 1.6141], [1.5333, -7.2422, -3.6984], [3.8654, -0.6888, 7.7001]],
  "species": ["O", "O", "O", "O", "O", "O", "O", "O", "O", "O", "O", "O", "O", "O", "O", "O", "O", "O", "O", "O", "O", "O", "O", "O", "O", "O", "O", "O", "Li", "Li", "Li", "Li", "Li", "Li", "Li", "Li", "Li", "Li", "Li", "Li", "Li", "Ni", "Ni", "Ni", "Ni", "Ni", "Ni", "Ni", "Ni", "Ni", "Ni", "Ni", "Ni", "Ni", "Ni", "Ni"],
  "frac_coords": [[0.8383, 0.8114, 0.4177], [0.7339, 0.9147, 0.8674], [0.2661, 0.0853, 0.1326], [0.5094, 0.7503, 0.4930], [0.7883, 0.6052, 0.6314], [0.6329, 0.6596, 0.0770], [0.3577, 0.8078, 0.9452], [0.3671, 0.3404, 0.9230], [0.4906, 0.2497, 0.5070], [0.6423, 0.1922, 0.0548], [0.4330, 0.0327, 0.7001], [0.8823, 0.3252, 0.4247], [0.1177, 0.6748, 0.5753], [0.2117, 0.3948, 0.3686], [0.0056, 0.7462, 0.9908], [0.5891, 0.4676, 0.2932], [0.4109, 0.5324, 0.7068], [0.2299, 0.8971, 0.3491], [0.3096, 0.6260, 0.1547], [0.7701, 0.1029, 0.6509], [0.1617, 0.1886, 0.5823], [0.9944, 0.2538, 0.0092], [0.6904, 0.3740, 0.8453], [0.0867, 0.4826, 0.7825], [0.9340, 0.0508, 0.2030], [0.0660, 0.9492, 0.7970], [0.9133, 0.5174, 0.2175], [0.5670, 0.9673, 0.2999], [0.0000, 0.5000, 0.0000], [0.2165, 0.6446, 0.3584], [0.3552, 0.0675, 0.9268], [0.2814, 0.3564, 0.1416], [0.0703, 0.2153, 0.7858], [0.9297, 0.7847, 0.2142], [0.5707, 0.2111, 0.2863], [0.1434, 0.9294, 0.5732], [0.7835, 0.3554, 0.6416], [0.8566, 0.0706, 0.4268], [0.7186, 0.6436, 0.8584], [0.6448, 0.9325, 0.0732], [0.4293, 0.7889, 0.7137], [0.1446, 0.4302, 0.5713], [0.5739, 0.7170, 0.2872], [0.7878, 0.8580, 0.6428], [0.4261, 0.2830, 0.7128], [0.2122, 0.1420, 0.3572], [0.7129, 0.1451, 0.8553], [0.8554, 0.5698, 0.4287], [0.6403, 0.4266, 0.0697], [0.2871, 0.8549, 0.1447], [0.5000, 0.0000, 0.5000], [0.0699, 0.7139, 0.7880], [0.9301, 0.2861, 0.2120], [0.5000, 0.5000, 0.5000], [0.0000, 0.0000, 0.0000], [0.3597, 0.5734, 0.9303]],
  "energy_mp2020_ev_per_atom": -5.932,
  "volume_a3_per_atom": 8.65,
  "delta_e_f_ev_per_atom": -1.47
}



Entry 4:
{
  "formula": "KSbMo2O8",
  "functional": "PBE with a Hubbard U",
  "state": "relaxed",
  "cell": [[5.1042, 0.0000, 0.0000], [-2.2911, 7.2025, 0.0000], [-1.9138, -0.7057, 10.2387]],
  "species": ["O", "O", "O", "O", "O", "O", "O", "O", "O", "O", "O", "O", "O", "O", "O", "O", "Mo", "Mo", "Mo", "Mo", "Sb", "Sb", "K", "K"],
  "frac_coords": [[0.1343, 0.3789, 0.7131], [0.4946, 0.1902, 0.0823], [0.1030, 0.0406, 0.8546], [0.8642, 0.3258, 0.4466], [0.1358, 0.6742, 0.5534], [0.8970, 0.9594, 0.1454], [0.8036, 0.5725, 0.0336], [0.1964, 0.4275, 0.9664], [0.3591, 0.7081, 0.1740], [0.5054, 0.8098, 0.9177], [0.7343, 0.8517, 0.4615], [0.6282, 0.5312, 0.6148], [0.2657, 0.1483, 0.5385], [0.6409, 0.2919, 0.8260], [0.8657, 0.6211, 0.2869], [0.3718, 0.4688, 0.3852], [0.3575, 0.2444, 0.9266], [0.2121, 0.3646, 0.5400], [0.6425, 0.7556, 0.0734], [0.7879, 0.6354, 0.4600], [0.0520, 0.4700, 0.1920], [0.9480, 0.5300, 0.8080], [0.5968, 0.9637, 0.6883], [0.4032, 0.0363, 0.3117]],
  "energy_mp2020_ev_per_atom": -7.550,
  "volume_a3_per_atom": 15.68,
  "delta_e_f_ev_per_atom": -2.01
}



Entry 5:
{
  "formula": "Na5LuW4O16",
  "functional": "PBE with a Hubbard U",
  "state": "relaxed",
  "cell": [[-5.7841, 5.7841, 5.6944], [5.7841, -5.7841, 5.6944], [5.7841, 5.7841, -5.6944]],
  "species": ["O", "O", "O", "O", "O", "O", "O", "O", "O", "O", "O", "O", "O", "O", "O", "O", "O", "O", "O", "O", "O", "O", "O", "O", "O", "O", "O", "O", "O", "O", "O", "O", "Na", "Na", "Na", "Na", "Na", "Na", "Na", "Na", "Na", "Na", "Lu", "Lu", "W", "W", "W", "W", "W", "W", "W", "W"],
  "frac_coords": [[0.4011, 0.4531, 0.1718], [0.4887, 0.3927, 0.7468], [0.3293, 0.3634, 0.3967], [0.6427, 0.3959, 0.4039], [0.6366, 0.0333, 0.9659], [0.2813, 0.2292, 0.8282], [0.6134, 0.7167, 0.5341], [0.0674, 0.6707, 0.0341], [0.8489, 0.2969, 0.3282], [0.1826, 0.0793, 0.4659], [0.8819, 0.9974, 0.1782], [0.9920, 0.2387, 0.5961], [0.8191, 0.7037, 0.8218], [0.5469, 0.7187, 0.9480], [0.7031, 0.0313, 0.5520], [0.6073, 0.3541, 0.0961], [0.9687, 0.5208, 0.6718], [0.4792, 0.1511, 0.4480], [0.9667, 0.9326, 0.6033], [0.4309, 0.0463, 0.6782], [0.2833, 0.8174, 0.8967], [0.7708, 0.5989, 0.0520], [0.2474, 0.5691, 0.6154], [0.6041, 0.0080, 0.2468], [0.2963, 0.1181, 0.1154], [0.3681, 0.7526, 0.3218], [0.2580, 0.5113, 0.9039], [0.9207, 0.3866, 0.1033], [0.9537, 0.6319, 0.3846], [0.7613, 0.3573, 0.7532], [0.6459, 0.7420, 0.2532], [0.0026, 0.1809, 0.8846], [0.9268, 0.8393, 0.3249], [0.1607, 0.4857, 0.0875], [0.3981, 0.0732, 0.9125], [0.0000, 0.0000, 0.0000], [0.7357, 0.1481, 0.8249], [0.2500, 0.7500, 0.5000], [0.3232, 0.9107, 0.1751], [0.8519, 0.6768, 0.5875], [0.5143, 0.6019, 0.6751], [0.0893, 0.2643, 0.4125], [0.5000, 0.5000, 0.0000], [0.7500, 0.2500, 0.5000], [0.0590, 0.1513, 0.7259], [0.8487, 0.5746, 0.9077], [0.1910, 0.5987, 0.7741], [0.5831, 0.8090, 0.4077], [0.4254, 0.3331, 0.2741], [0.4013, 0.1754, 0.5923], [0.8246, 0.4169, 0.2259], [0.6669, 0.9410, 0.0923]],
  "energy_mp2020_ev_per_atom": -7.873,
  "volume_a3_per_atom": 14.66,
  "delta_e_f_ev_per_atom": -2.41
}



Entry 6:
{
  "formula": "K2Cr2O7",
  "functional": "PBE with a Hubbard U",
  "state": "relaxed",
  "cell": [[-0.5162, -6.6273, 4.5321], [5.8935, -3.6263, 4.1041], [-1.5773, 4.3628, 6.9695]],
  "species": ["O", "O", "O", "O", "O", "O", "O", "O", "O", "O", "O", "O", "O", "O", "K", "K", "K", "K", "Cr", "Cr", "Cr", "Cr"],
  "frac_coords": [[0.7790, 0.7790, 0.5311], [0.2793, 0.9041, 0.9127], [0.7372, 0.1638, 0.4863], [0.2489, 0.2489, 0.9574], [0.0959, 0.7207, 0.0873], [0.1638, 0.7372, 0.4863], [0.8362, 0.2628, 0.5137], [0.7511, 0.7511, 0.0426], [0.8928, 0.8928, 0.7981], [0.2210, 0.2210, 0.4689], [0.1072, 0.1072, 0.2019], [0.2628, 0.8362, 0.5137], [0.9041, 0.2793, 0.9127], [0.7207, 0.0959, 0.0873], [0.3505, 0.3505, 0.2195], [0.3528, 0.3528, 0.6888], [0.6472, 0.6472, 0.3112], [0.6495, 0.6495, 0.7805], [0.8902, 0.8902, 0.5814], [0.1350, 0.1350, 0.9929], [0.1098, 0.1098, 0.4186], [0.8650, 0.8650, 0.0071]],
  "energy_mp2020_ev_per_atom": -6.495,
  "polymorph_energy_mev_per_atom": 541.0,
  "volume_a3_per_atom": 19.46,
  "delta_e_f_ev_per_atom": -1.39
}



Entry 7:
{
  "formula": "Li2VSi7O16",
  "functional": "PBE with a Hubbard U",
  "state": "relaxed",
  "cell": [[-3.0769, 0.0861, 6.5995], [9.1207, 6.5553, 6.4323], [-4.1204, 6.5632, 0.1420]],
  "species": ["O", "O", "O", "O", "O", "O", "O", "O", "O", "O", "O", "O", "O", "O", "O", "O", "O", "O", "O", "O", "O", "O", "O", "O", "O", "O", "O", "O", "O", "O", "O", "O", "Li", "Li", "Li", "Li", "Si", "Si", "Si", "Si", "Si", "Si", "Si", "Si", "Si", "Si", "Si", "Si", "Si", "Si", "V", "V"],
  "frac_coords": [[0.6562, 0.1659, 0.0767], [0.9932, 0.2071, 0.7633], [0.8741, 0.0303, 0.7023], [0.8248, 0.0116, 0.2496], [0.5650, 0.9332, 0.7782], [0.9566, 0.5239, 0.7820], [0.4932, 0.7070, 0.2636], [0.3835, 0.3417, 0.3609], [0.8745, 0.8656, 0.5124], [0.4703, 0.3088, 0.6816], [0.9702, 0.8089, 0.1813], [0.9164, 0.3458, 0.0499], [0.5951, 0.1664, 0.4352], [0.6039, 0.6242, 0.9413], [0.3247, 0.5115, 0.7499], [0.0952, 0.6665, 0.9351], [0.4163, 0.8458, 0.5498], [0.7413, 0.3495, 0.3974], [0.7235, 0.6304, 0.5893], [0.6697, 0.4420, 0.7765], [0.3741, 0.5301, 0.2028], [0.0650, 0.4330, 0.2785], [0.7395, 0.5280, 0.2100], [0.2412, 0.8498, 0.8972], [0.3746, 0.3655, 0.0126], [0.2396, 0.0282, 0.7094], [0.8836, 0.8419, 0.8606], [0.2236, 0.1302, 0.0888], [0.1696, 0.9420, 0.2764], [0.1563, 0.6658, 0.5767], [0.1040, 0.1244, 0.4408], [0.4566, 0.0238, 0.2817], [0.4450, 0.1945, 0.9652], [0.4266, 0.8548, 0.3016], [0.9450, 0.6946, 0.4656], [0.9268, 0.3549, 0.8017], [0.8667, 0.4130, 0.2256], [0.2976, 0.4185, 0.2153], [0.0529, 0.1005, 0.6573], [0.7339, 0.5615, 0.7659], [0.1280, 0.5961, 0.7563], [0.9560, 0.9085, 0.3073], [0.7976, 0.9187, 0.7151], [0.0507, 0.7929, 0.9623], [0.3667, 0.9132, 0.7254], [0.5507, 0.2927, 0.4626], [0.6279, 0.0962, 0.2562], [0.5528, 0.6003, 0.1577], [0.2339, 0.0615, 0.2656], [0.4561, 0.4084, 0.8075], [0.4549, 0.6851, 0.5370], [0.9549, 0.1851, 0.0367]],
  "energy_mp2020_ev_per_atom": -8.019,
  "polymorph_energy_mev_per_atom": 0.0,
  "volume_a3_per_atom": 13.42,
  "delta_e_f_ev_per_atom": -3.02
}